1.
Compound: AlCuO2
Source: the Materials Project
Functional: GGA-PBE
Structure: relaxed Values from VASP.

Geometry as Quantum ESPRESSO input:
```
&SYSTEM
  ibrav = 0, nat = 8, ntyp = 3
/
ATOMIC_SPECIES
Al 26.98 Al.upf
Cu 63.55 Cu.upf
O 16.00 O.upf
CELL_PARAMETERS angstrom
2.8798 0.0000 0.0000
-1.4399 2.4940 0.0000
0.0000 0.0000 11.4133
ATOMIC_POSITIONS angstrom
Al 0.0000 0.0000 0.0000
Al 0.0000 0.0000 5.7066
Cu 0.0000 1.6627 2.8533
Cu 1.4399 0.8313 8.5600
O 0.0000 1.6627 0.9717
O 0.0000 1.6627 4.7349
O 1.4399 0.8313 6.6784
O 1.4399 0.8313 10.4416
```

Values from the calculation:
Space group: P6_3/mmc (194)



2.
Compound: LiTi2O4
Source: the Materials Project
Functional: GGA-PBE
Structure: relaxed Values from VASP.

Geometry as Quantum ESPRESSO input:
```
&SYSTEM
  ibrav = 0, nat = 14, ntyp = 3
/
ATOMIC_SPECIES
Li 6.94 Li.upf
Ti 47.87 Ti.upf
O 16.00 O.upf
CELL_PARAMETERS angstrom
0.0000 4.2328 4.2328
4.2328 0.0000 4.2328
4.2328 4.2328 0.0000
ATOMIC_POSITIONS angstrom
Li 1.0582 1.0582 1.0582
Li 7.4073 7.4073 7.4073
Ti 4.2328 2.1164 2.1164
Ti 2.1164 4.2328 2.1164
Ti 2.1164 2.1164 4.2328
Ti 4.2328 4.2328 4.2328
O 2.2231 2.2231 2.2231
O 4.1260 4.1260 2.2231
O 4.1260 2.2231 4.1260
O 6.2424 4.3395 4.3395
O 2.2231 4.1260 4.1260
O 4.3395 6.2424 4.3395
O 4.3395 4.3395 6.2424
O 6.2424 6.2424 6.2424
```

Values from the calculation:
Space group: Fd-3m (227)
Energy above the lowest structure with this stoichiometry (meV per atom): 0



3.
Compound: NaY2Hf2P3S3O24
Source: the Materials Project
Functional: GGA-PBE
Structure: relaxed Values from VASP.

Geometry as Quantum ESPRESSO input:
```
&SYSTEM
  ibrav = 0, nat = 105, ntyp = 6
/
ATOMIC_SPECIES
Na 22.99 Na.upf
Y 88.91 Y.upf
Hf 178.49 Hf.upf
P 30.97 P.upf
S 32.06 S.upf
O 16.00 O.upf
CELL_PARAMETERS angstrom
9.0136 0.0000 0.0000
4.5024 7.8191 0.0000
0.0079 0.0391 23.6106
ATOMIC_POSITIONS angstrom
Na 0.0000 0.0000 0.0000
Na 0.3294 0.1000 11.9434
Na 4.5801 2.7271 15.7349
Y 4.6408 7.8075 3.4732
Y 4.6705 7.7499 20.0478
Y 0.2376 0.0211 8.3665
Y 4.8119 7.7734 15.3350
Y 4.6932 2.5964 12.4071
Y 4.7626 2.5856 0.6941
Hf 4.6870 2.5462 19.2901
Hf 4.7439 2.5412 7.5824
Hf 9.1201 5.1502 11.3124
Hf 9.2131 5.1988 16.2838
Hf 9.2356 5.1394 4.4118
Hf 9.2820 5.2303 23.0858
P 3.3726 5.4207 17.7252
P 7.4351 7.8312 17.7495
P 3.4413 0.2927 9.9268
P 6.6644 5.2115 13.8209
P 6.0157 0.3509 21.7399
P 7.3208 2.6042 9.9160
P 8.0172 2.9892 1.9652
P 11.7338 5.2311 1.9762
P 10.4504 3.0011 13.8071
S 1.5989 2.3389 5.9370
S 3.3482 4.8455 9.8722
S 2.0954 2.6245 21.7159
S 6.0522 5.4220 5.9359
S 6.0552 4.8720 21.7152
S 7.9064 7.3313 1.9949
S 10.5004 7.3836 13.8078
S 7.8241 2.3537 17.7421
S 10.9745 7.8067 5.9498
O 1.1919 1.4759 21.5442
O 3.9137 6.1950 9.6591
O 1.4193 1.4699 4.7596
O 4.0849 6.0331 16.5142
O 3.5148 3.9499 1.8840
O 2.9752 2.8706 13.8112
O 2.9572 2.8107 20.5036
O 3.6552 3.9921 8.6648
O 3.9712 4.2785 11.0666
O 2.9146 2.4358 22.9105
O 3.0423 2.5203 6.2243
O 3.9948 4.0112 18.0355
O 2.0706 0.3738 16.5340
O 1.9341 0.0569 9.6933
O 5.3893 6.0203 4.7570
O 5.5175 6.2429 21.5756
O 5.7861 6.4807 13.8104
O 6.4335 7.4447 2.0893
O 6.5795 7.5831 18.9914
O 5.8939 6.3020 7.1053
O 3.6224 1.1816 11.1416
O 5.4426 4.2749 22.9097
O 5.4627 4.0842 6.2188
O 3.8768 1.2478 18.0211
O 4.0286 1.0346 8.6541
O 5.7663 4.0517 20.5052
O 4.0341 0.8253 1.9294
O 5.8180 3.9291 13.8160
O 8.2057 6.5305 0.7816
O 7.5103 5.2499 5.6613
O 7.5504 5.2857 12.5286
O 8.3513 6.6301 17.4447
O 8.4158 6.6614 3.2300
O 7.5699 5.1823 15.0716
O 7.5352 4.9502 21.8828
O 8.6735 6.7603 10.0991
O 6.3949 2.7807 8.6467
O 5.4159 1.0745 20.4834
O 5.3488 0.8954 13.7988
O 6.5056 2.8846 1.9247
O 6.3492 2.5446 17.9861
O 5.6123 1.1797 6.2204
O 5.7417 1.1976 22.9790
O 6.4609 2.3923 11.1402
O 9.8093 6.7857 21.9160
O 8.1786 3.8902 10.0525
O 10.0135 6.6971 15.0312
O 8.3786 3.7966 3.2580
O 10.0785 6.6551 5.6685
O 8.3902 3.6997 17.5116
O 10.1502 6.6252 12.5786
O 8.5618 3.7260 0.7161
O 7.9811 1.4883 16.5666
O 7.3118 0.2850 4.7706
O 8.4511 1.7809 18.9403
O 8.2423 1.3938 9.6951
O 7.5326 0.1363 21.5799
O 11.8151 7.4955 7.1121
O 11.9693 7.5173 13.8603
O 10.8245 5.4001 0.7212
O 8.7068 1.6071 2.0546
O 9.9908 3.7611 12.5182
O 10.0557 3.8141 15.0659
O 10.8466 5.1776 3.2615
O 10.8842 5.2144 17.4270
O 10.0252 3.6917 5.6803
O 10.8970 4.9329 10.0088
O 10.2891 3.8743 21.8479
O 9.7558 1.6233 13.8316
O 12.6190 6.4970 2.0605
O 9.9167 1.7727 7.1036
O 12.5466 6.3081 18.9676
```

Values from the calculation:
Space group: P1 (1)



4.
Compound: GaNi2
Source: the Materials Project
Functional: GGA-PBE
Structure: relaxed Values from VASP.

Geometry as Quantum ESPRESSO input:
```
&SYSTEM
  ibrav = 0, nat = 3, ntyp = 2
/
ATOMIC_SPECIES
Ga 69.72 Ga.upf
Ni 58.69 Ni.upf
CELL_PARAMETERS angstrom
2.7054 0.0000 0.0000
-1.3527 2.3430 0.0000
0.0000 0.0000 5.8396
ATOMIC_POSITIONS angstrom
Ga 0.0000 0.0000 0.0000
Ni 0.0000 1.5620 1.9347
Ni 1.3527 0.7810 3.9049
```

Values from the calculation:
Space group: P-3m1 (164)



5.
Compound: Ca21Zn36Ni2
Source: the Materials Project
Functional: GGA-PBE
Structure: relaxed Values from VASP.

Geometry as Quantum ESPRESSO input:
```
&SYSTEM
  ibrav = 0, nat = 118, ntyp = 3
/
ATOMIC_SPECIES
Ca 40.08 Ca.upf
Zn 65.41 Zn.upf
Ni 58.69 Ni.upf
CELL_PARAMETERS angstrom
0.0000 10.8257 10.8257
10.8257 0.0000 10.8257
10.8257 10.8257 0.0000
ATOMIC_POSITIONS angstrom
Ca 9.3359 6.9027 2.6385
Ca 9.3359 2.6385 6.9027
Ca 13.6000 6.9027 6.9027
Ca 2.7064 2.7064 2.7064
Ca 16.9196 10.1447 10.1447
Ca 9.5917 6.6468 6.6468
Ca 4.7318 4.7318 4.7318
Ca 11.5067 11.5067 4.7318
Ca 11.5067 4.7318 11.5067
Ca 6.9027 9.3359 2.6385
Ca 6.9027 2.6385 9.3359
Ca 13.6000 9.3359 9.3359
Ca 12.3155 12.3155 8.0514
Ca 14.7487 14.7487 8.0514
Ca 12.3155 8.0514 12.3155
Ca 19.0129 14.7487 12.3155
Ca 14.7487 8.0514 14.7487
Ca 19.0129 12.3155 14.7487
Ca 6.6468 9.5917 6.6468
Ca 6.6468 6.6468 9.5917
Ca 9.5917 9.5917 9.5917
Ca 12.0597 12.0597 12.0597
Ca 15.0045 15.0045 12.0597
Ca 15.0045 12.0597 15.0045
Ca 2.6385 9.3359 6.9027
Ca 6.9027 13.6000 6.9027
Ca 2.6385 6.9027 9.3359
Ca 9.3359 13.6000 9.3359
Ca 6.9027 6.9027 13.6000
Ca 9.3359 9.3359 13.6000
Ca 8.0514 12.3155 12.3155
Ca 14.7487 19.0129 12.3155
Ca 14.7487 12.3155 19.0129
Ca 10.1447 16.9196 10.1447
Ca 10.1447 10.1447 16.9196
Ca 16.9196 16.9196 16.9196
Ca 12.0597 15.0045 15.0045
Ca 4.7318 11.5067 11.5067
Ca 18.9450 18.9450 18.9450
Ca 8.0514 14.7487 14.7487
Ca 12.3155 19.0129 14.7487
Ca 12.3155 14.7487 19.0129
Zn 7.2116 7.2116 0.1662
Zn 9.0269 9.0269 0.1662
Zn 7.2116 0.1662 7.2116
Zn 16.0723 9.0269 7.2116
Zn 9.0269 0.1662 9.0269
Zn 16.0723 7.2116 9.0269
Zn 6.2023 6.2023 2.3995
Zn 10.0362 10.0362 2.3995
Zn 6.2023 2.3995 6.2023
Zn 13.8390 10.0362 6.2023
Zn 10.0362 2.3995 10.0362
Zn 13.8390 6.2023 10.0362
Zn 14.4398 12.6245 5.5791
Zn 14.4398 5.5791 12.6245
Zn 21.4852 12.6245 12.6245
Zn 15.4490 11.6152 7.8124
Zn 15.4490 7.8124 11.6152
Zn 19.2519 11.6152 11.6152
Zn 6.9601 6.9601 4.9020
Zn 9.2784 9.2784 4.9020
Zn 6.9601 4.9020 6.9601
Zn 11.3365 9.2784 6.9601
Zn 9.2784 4.9020 9.2784
Zn 11.3365 6.9601 9.2784
Zn 12.6245 14.4398 5.5791
Zn 12.6245 5.5791 14.4398
Zn 21.4852 14.4398 14.4397
Zn 14.6913 12.3730 10.3149
Zn 14.6913 10.3149 12.3730
Zn 16.7494 12.3730 12.3730
Zn 4.9020 6.9601 6.9601
Zn 9.2784 11.3365 6.9601
Zn 9.2784 6.9601 11.3365
Zn 2.3995 6.2023 6.2023
Zn 10.0362 13.8390 6.2023
Zn 10.0362 6.2023 13.8390
Zn 11.6152 15.4490 7.8124
Zn 11.6152 7.8124 15.4490
Zn 19.2519 15.4490 15.4490
Zn 12.3730 14.6913 10.3149
Zn 12.3730 10.3149 14.6913
Zn 16.7494 14.6913 14.6913
Zn 4.9020 9.2784 9.2784
Zn 6.9601 11.3365 9.2784
Zn 6.9601 9.2784 11.3365
Zn 0.1662 7.2116 7.2116
Zn 9.0269 16.0723 7.2116
Zn 9.0269 7.2116 16.0723
Zn 10.3149 14.6913 12.3730
Zn 12.3730 16.7494 12.3730
Zn 10.3149 12.3730 14.6913
Zn 14.6913 16.7494 14.6913
Zn 12.3730 12.3730 16.7494
Zn 14.6913 14.6913 16.7494
Zn 2.3995 10.0362 10.0362
Zn 6.2023 13.8390 10.0362
Zn 6.2023 10.0362 13.8390
Zn 0.1662 9.0269 9.0269
Zn 7.2116 16.0723 9.0269
Zn 7.2116 9.0269 16.0723
Zn 7.8124 15.4490 11.6152
Zn 11.6152 19.2519 11.6152
Zn 7.8124 11.6152 15.4490
Zn 15.4490 19.2519 15.4490
Zn 11.6152 11.6152 19.2519
Zn 15.4490 15.4490 19.2519
Zn 5.5791 14.4398 12.6245
Zn 12.6245 21.4852 12.6245
Zn 5.5791 12.6245 14.4398
Zn 14.4398 21.4852 14.4397
Zn 12.6245 12.6245 21.4852
Zn 14.4398 14.4398 21.4852
Ni 0.0000 0.0000 0.0000
Ni 5.4128 5.4128 0.0000
Ni 5.4128 0.0000 5.4128
Ni 0.0000 5.4128 5.4128
```

Values from the calculation:
Space group: Fd-3m (227)



6.
Compound: Sr3SbAs
Source: the Materials Project
Functional: GGA-PBE
Structure: relaxed Values from VASP.

Geometry as Quantum ESPRESSO input:
```
&SYSTEM
  ibrav = 0, nat = 5, ntyp = 3
/
ATOMIC_SPECIES
Sr 87.62 Sr.upf
Sb 121.76 Sb.upf
As 74.92 As.upf
CELL_PARAMETERS angstrom
5.8484 0.0000 0.0000
0.0000 5.8484 0.0000
0.0000 0.0000 5.8484
ATOMIC_POSITIONS angstrom
Sr 0.0000 0.0000 2.9242
Sr 0.0000 2.9242 0.0000
Sr 2.9242 0.0000 0.0000
Sb 2.9242 2.9242 2.9242
As 0.0000 0.0000 0.0000
```

Values from the calculation:
Space group: Pm-3m (221)
Energy above the lowest structure with this stoichiometry (meV per atom): 0



Number 1: ΔE_f -2.417 eV per atom. Number 2: ΔE_f -3.246 eV per atom. Number 3: ΔE_f -2.922 eV per atom. Number 4: ΔE_f -0.103 eV per atom. Number 5: ΔE_f -0.283 eV per atom. Number 6: ΔE_f -0.877 eV per atom.